[1]
## CaZnSnWO6 (PBE+U)

Data for CaZnSnWO6 after structural relaxation.

## Properties
Calculated formation energy (eV per atom): -2.1332
Spin magnetization (μB/f.u.): 0.00
Calculated volume (Å³ per cell): 128.9

Lattice parameters (Å, degrees): 5.6696 5.6696 5.6696 60.00 60.00 60.00
Fractional positions:
1 Ca 0.7500 0.7500 0.7500
2 Zn 0.0000 0.0000 0.0000
3 Sn 0.2500 0.2500 0.2500
4 W 0.5000 0.5000 0.5000
5 O 0.7422 0.2578 0.2578
6 O 0.2578 0.7422 0.7422
7 O 0.7422 0.2578 0.7422
8 O 0.2578 0.7422 0.2578
9 O 0.7422 0.7422 0.2578
10 O 0.2578 0.2578 0.7422



[2]
## SrCaTbVO6 (PBE+U)

Data for SrCaTbVO6 after structural relaxation.

## Properties
Calculated formation energy (eV per atom): -3.0847
Spin magnetization (μB/f.u.): 0.00
Calculated volume (Å³ per cell): 138.1

Lattice parameters (Å, degrees): 5.8025 5.8025 5.8025 60.00 60.00 60.00
Fractional positions:
1 Sr 0.7500 0.7500 0.7500
2 Ca 0.2500 0.2500 0.2500
3 Tb 0.0000 0.0000 0.0000
4 V 0.5000 0.5000 0.5000
5 O 0.7307 0.2693 0.2693
6 O 0.2693 0.7307 0.7307
7 O 0.7307 0.2693 0.7307
8 O 0.2693 0.7307 0.2693
9 O 0.7307 0.7307 0.2693
10 O 0.2693 0.2693 0.7307



[3]
## SrCaV2O6 (PBE+U)

Data for SrCaV2O6 after structural relaxation.

## Properties
Calculated formation energy (eV per atom): -2.9194
Spin magnetization (μB/f.u.): 0.00
Calculated volume (Å³ per cell): 233.7

Lattice parameters (Å, degrees): 5.4159 7.8925 5.4679 90.00 89.99 89.96
Fractional positions:
1 Sr 0.0153 0.2500 0.4970
2 Sr 0.5152 0.2500 0.0030
3 Ca 0.9778 0.7500 0.4977
4 Ca 0.4777 0.7500 0.0023
5 V 0.9997 0.5046 0.0011
6 V 0.4997 0.5047 0.4988
7 V 0.4998 0.9954 0.4989
8 V 0.9997 0.9953 0.0012
9 O 0.9974 0.2500 0.9550
10 O 0.4973 0.2500 0.5450
11 O 0.0095 0.7499 0.0638
12 O 0.5096 0.7501 0.4363
13 O 0.7694 0.0195 0.2858
14 O 0.2696 0.4807 0.2140
15 O 0.7696 0.4806 0.2858
16 O 0.2694 0.0196 0.2142
17 O 0.2306 0.5341 0.7131
18 O 0.7309 0.9658 0.7869
19 O 0.2309 0.9657 0.7133
20 O 0.7307 0.5340 0.7869



[4]
## SrCaV4O12 (PBE+U)

Data for SrCaV4O12 after structural relaxation.

## Properties
Calculated formation energy (eV per atom): -2.5115
Spin magnetization (μB/f.u.): 0.00
Calculated volume (Å³ per cell): 214.2

Lattice parameters (Å, degrees): 5.3277 5.3277 7.5456 90.00 90.00 89.91
Fractional positions:
1 Sr 0.0000 0.0000 0.0000
2 Ca 0.5000 0.5000 0.5000
3 V 0.0000 0.5000 0.2506
4 V 0.0000 0.5000 0.7494
5 V 0.5000 0.0000 0.2506
6 V 0.5000 0.0000 0.7494
7 O 0.2372 0.2372 0.2507
8 O 0.2372 0.2372 0.7493
9 O 0.7628 0.7628 0.7493
10 O 0.7628 0.7628 0.2507
11 O 0.7357 0.2643 0.2509
12 O 0.7357 0.2643 0.7491
13 O 0.2643 0.7357 0.7491
14 O 0.2643 0.7357 0.2509
15 O 0.0000 0.5000 0.0000
16 O 0.0000 0.5000 0.5000
17 O 0.5000 0.0000 0.0000
18 O 0.5000 0.0000 0.5000